# 1
Material: Ba2NdMgNbCu2O8
Method: DFT, PBE
State: relaxed

```
Ba2NdMgNbCu2O8
1.0
4.087 0.000 0.000
0.000 4.087 0.000
0.000 0.000 13.555
O Cu Ba Nb Mg Nd
8 2 2 1 1 1
Direct
0.500 0.000 0.000
0.000 0.500 0.385
0.000 0.000 0.147
0.000 0.000 0.853
0.500 0.000 0.385
0.000 0.500 0.000
0.000 0.500 0.615
0.500 0.000 0.615
0.000 0.000 0.609
0.000 0.000 0.391
0.500 0.500 0.246
0.500 0.500 0.754
0.000 0.000 0.000
0.500 0.500 0.000
0.500 0.500 0.500
```

Results
**Space group**: P4/mmm, No. 123
**E (MP2020)**: -104.35 eV per formula unit
**ΔE_f**: -2.417 eV/atom
**Size of the total moment**: 0.00 μB/f.u.



# 2
Material: LiLu2Rh
Method: DFT, PBE
State: relaxed

```
LiLu2Rh
1.0
0.000 3.420 3.420
3.420 0.000 3.420
3.420 3.420 0.000
Rh Lu Li
1 2 1
Direct
0.000 0.000 0.000
0.750 0.750 0.750
0.250 0.250 0.250
0.500 0.500 0.500
```

Results
**Space group**: Fm-3m, No. 225
**ΔE_f**: -0.563 eV/atom



# 3
Material: Na2Ca3B5H2S2ClO18
Method: DFT, PBE
State: relaxed

```
Na2Ca3B5H2S2ClO18
1.0
-2.449 -4.042 4.416
4.957 -3.824 1.627
5.081 11.306 14.376
Ca O B Na H S Cl
6 36 10 4 4 4 2
Direct
0.610 0.390 0.250
0.828 0.346 0.903
0.346 0.828 0.403
0.390 0.610 0.750
0.172 0.654 0.097
0.654 0.172 0.597
0.560 0.470 0.125
0.415 0.802 0.272
0.859 0.056 0.815
0.596 0.859 0.790
0.530 0.440 0.375
0.983 0.700 0.774
0.494 0.783 0.519
0.404 0.141 0.210
0.710 0.797 0.621
0.017 0.300 0.226
0.797 0.710 0.121
0.198 0.585 0.228
0.944 0.141 0.685
0.203 0.290 0.879
0.141 0.944 0.185
0.801 0.750 0.890
0.300 0.017 0.726
0.506 0.217 0.481
0.440 0.530 0.875
0.750 0.801 0.390
0.859 0.596 0.290
0.470 0.560 0.625
0.199 0.250 0.110
0.141 0.404 0.710
0.250 0.199 0.610
0.056 0.859 0.315
0.790 0.480 0.550
0.802 0.415 0.772
0.783 0.494 0.019
0.480 0.790 0.050
0.520 0.210 0.950
0.585 0.198 0.728
0.217 0.506 0.981
0.290 0.203 0.379
0.700 0.983 0.274
0.210 0.520 0.450
0.969 0.506 0.752
0.186 0.154 0.182
0.846 0.814 0.318
0.494 0.031 0.748
0.189 0.811 0.250
0.154 0.186 0.682
0.506 0.969 0.252
0.811 0.189 0.750
0.814 0.846 0.818
0.031 0.494 0.248
0.419 0.882 0.922
0.882 0.419 0.422
0.118 0.581 0.578
0.581 0.118 0.078
0.880 0.806 0.924
0.120 0.194 0.076
0.806 0.880 0.424
0.194 0.120 0.576
0.339 0.384 0.923
0.661 0.616 0.077
0.384 0.339 0.423
0.616 0.661 0.577
0.000 0.000 0.000
0.000 0.000 0.500
```

Results
**Space group**: C2/c, No. 15
**E (MP2020)**: -234.54 eV per formula unit
**ΔE_f**: -2.622 eV/atom
**Size of the total moment**: 0.00 μB/f.u.